Below is an optimized crystal structure of La2CdAu2, with properties calculated at the PBE level.

Properties
Raw total energy   -4.21 eV per atom
Formation energy from the elements   -0.745 eV per atom

Unit cell a=8.311 b=8.311 c=3.936 alpha=90.00 beta=90.00 gamma=90.00
Space group P4/mbm (No. 127)
Unique sites:
La 0.176 0.324 0.000 (multiplicity 4)
Cd 0.000 0.000 0.500 (multiplicity 2)
Au 0.125 0.625 0.500 (multiplicity 4)

Below is an optimized crystal structure of LaCdAu2, with properties calculated at the PBE level.

Properties
Raw total energy   -3.77 eV per atom
Formation energy from the elements   -0.669 eV per atom

Unit cell a=7.242 b=7.242 c=7.242 alpha=90.00 beta=90.00 gamma=90.00
Space group Fm-3m (No. 225)
Unique sites:
La 0.000 0.000 0.000 (multiplicity 4)
Cd 0.000 0.000 0.500 (multiplicity 4)
Au 0.250 0.250 0.250 (multiplicity 8)

Below is an optimized crystal structure of Li2CdAu, with properties calculated at the PBE level.

Properties
Raw total energy   -2.43 eV per atom
Formation energy from the elements   -0.425 eV per atom

Unit cell a=6.422 b=6.422 c=6.422 alpha=90.00 beta=90.00 gamma=90.00
Space group Fm-3m (No. 225)
Unique sites:
Li 0.250 0.250 0.250 (multiplicity 8)
Cd 0.000 0.000 0.000 (multiplicity 4)
Au 0.000 0.000 0.500 (multiplicity 4)

Below is an optimized crystal structure of LiCd2Au, with properties calculated at the PBE level.

Properties
Raw total energy   -2.10 eV per atom
Formation energy from the elements   -0.338 eV per atom

Unit cell a=6.706 b=6.706 c=6.706 alpha=90.00 beta=90.00 gamma=90.00
Space group Fm-3m (No. 225)
Unique sites:
Li 0.000 0.000 0.000 (multiplicity 4)
Cd 0.250 0.250 0.250 (multiplicity 8)
Au 0.000 0.000 0.500 (multiplicity 4)

Below is an optimized crystal structure of MgCdAu2, with properties calculated at the PBE level.

Properties
Raw total energy   -2.67 eV per atom
Formation energy from the elements   -0.401 eV per atom

Unit cell a=3.215 b=3.215 c=7.324 alpha=90.00 beta=90.00 gamma=90.00
Space group P4/mmm (No. 123)
Unique sites:
Mg 0.000 0.000 0.000 (multiplicity 1)
Cd 0.000 0.000 0.500 (multiplicity 1)
Au 0.500 0.500 0.229 (multiplicity 2)

Below is an optimized crystal structure of MgCdAu2, with properties calculated at the PBE level.

Properties
Raw total energy   -2.66 eV per atom
Formation energy from the elements   -0.395 eV per atom

Unit cell a=6.713 b=6.713 c=6.713 alpha=90.00 beta=90.00 gamma=90.00
Space group Fm-3m (No. 225)
Unique sites:
Mg 0.000 0.000 0.000 (multiplicity 4)
Cd 0.000 0.000 0.500 (multiplicity 4)
Au 0.250 0.250 0.250 (multiplicity 8)

Below is an optimized crystal structure of NaCd2Au, with properties calculated at the PBE level.

Properties
Raw total energy   -1.81 eV per atom
Formation energy from the elements   -0.197 eV per atom

Unit cell a=6.953 b=6.953 c=6.953 alpha=90.00 beta=90.00 gamma=90.00
Space group Fm-3m (No. 225)
Unique sites:
Na 0.000 0.000 0.000 (multiplicity 4)
Cd 0.250 0.250 0.250 (multiplicity 8)
Au 0.000 0.000 0.500 (multiplicity 4)

Below is an optimized crystal structure of Na6Cd16Au7, with properties calculated at the PBE level.

Properties
Raw total energy   -1.79 eV per atom
Formation energy from the elements   -0.218 eV per atom

Unit cell a=13.840 b=13.840 c=13.840 alpha=90.00 beta=90.00 gamma=90.00
Space group Fm-3m (No. 225)
Unique sites:
Na 0.000 0.000 0.208 (multiplicity 24)
Cd 0.119 0.119 0.381 (multiplicity 32)
Cd 0.162 0.162 0.162 (multiplicity 32)
Au 0.000 0.000 0.500 (multiplicity 4)
Au 0.000 0.250 0.250 (multiplicity 24)

Below is an optimized crystal structure of Nd2CdAu2, with properties calculated at the PBE level.

Properties
Raw total energy   -4.11 eV per atom
Formation energy from the elements   -0.709 eV per atom

Unit cell a=8.177 b=8.177 c=3.853 alpha=90.00 beta=90.00 gamma=90.00
Space group P4/mbm (No. 127)
Unique sites:
Nd 0.174 0.326 0.000 (multiplicity 4)
Cd 0.000 0.000 0.500 (multiplicity 2)
Au 0.127 0.627 0.500 (multiplicity 4)

Below is an optimized crystal structure of NdCdAu2, with properties calculated at the PBE level.

Properties
Raw total energy   -3.71 eV per atom
Formation energy from the elements   -0.649 eV per atom

Unit cell a=7.145 b=7.145 c=7.145 alpha=90.00 beta=90.00 gamma=90.00
Space group Fm-3m (No. 225)
Unique sites:
Nd 0.000 0.000 0.000 (multiplicity 4)
Cd 0.000 0.000 0.500 (multiplicity 4)
Au 0.250 0.250 0.250 (multiplicity 8)

Below is an optimized crystal structure of NdCdAu, with properties calculated at the PBE level.

Properties
Raw total energy   -3.63 eV per atom
Formation energy from the elements   -0.646 eV per atom

Unit cell a=8.0160 b=8.0160 c=3.9982 alpha=90.00 beta=90.00 gamma=120.00
Space group P-62m (No. 189)
Unique sites:
Nd 0.0000 0.5921 0.0000 (multiplicity 3)
Cd 0.0000 0.2578 0.5000 (multiplicity 3)
Au 0.0000 0.0000 0.0000 (multiplicity 1)
Au 0.3333 0.6667 0.5000 (multiplicity 2)

Below is an optimized crystal structure of NpCdAu2, with properties calculated at the PBE level.

Properties
Raw total energy   -5.29 eV per atom
Formation energy from the elements   -0.184 eV per atom

Unit cell a=7.088 b=7.088 c=7.088 alpha=90.00 beta=90.00 gamma=90.00
Space group Fm-3m (No. 225)
Unique sites:
Np 0.000 0.000 0.000 (multiplicity 4)
Cd 0.000 0.000 0.500 (multiplicity 4)
Au 0.250 0.250 0.250 (multiplicity 8)